Record 1
{"formula": "Ba2LuNbO6", "functional": "meta-GGA r2SCAN", "state": "relaxed", "lattice_angstrom": [[-5.0644, -3.0930, 0.2911], [-3.7875, 0.9173, 4.4847], [-5.1942, 2.7040, -1.0042]], "species": ["Ba", "O", "O", "Lu", "O", "O", "O", "Ba", "O", "Nb"], "fractional_positions": [[0.2500, 0.2500, 0.2500], [0.7598, 0.2402, 0.7598], [0.2402, 0.2402, 0.7598], [0.5000, 0.5000, 0.5000], [0.2402, 0.7598, 0.7598], [0.7598, 0.7598, 0.2402], [0.2402, 0.7598, 0.2402], [0.7500, 0.7500, 0.7500], [0.7598, 0.2402, 0.2402], [0.0000, 0.0000, 0.0000]]}

***

Record 2
{"formula": "LiPm2Si", "functional": "meta-GGA r2SCAN", "state": "relaxed", "lattice_angstrom": [[-3.4495, 3.7671, 0.2086], [0.1271, 3.7758, -3.4440], [-3.6454, 0.3282, -3.5689]], "species": ["Si", "Li", "Pm", "Pm"], "fractional_positions": [[0.7500, 0.7500, 0.7500], [0.2500, 0.2500, 0.2500], [0.5000, 0.5000, 0.5000], [0.0000, 0.0000, 0.0000]]}

***

Record 3
{"formula": "BaTe3", "functional": "meta-GGA r2SCAN", "state": "relaxed", "lattice_angstrom": [[4.4862, 0.0000, 0.0000], [0.0000, 8.0766, 0.0000], [0.0000, 0.0000, 8.0766]], "species": ["Te", "Te", "Ba", "Te", "Te", "Te", "Ba", "Te"], "fractional_positions": [[0.5075, 0.3006, 0.1994], [0.1281, 0.0000, 0.5000], [0.0000, 0.5000, 0.5000], [0.5075, 0.6994, 0.8006], [0.4925, 0.8006, 0.3006], [0.8719, 0.5000, 0.0000], [0.0000, 0.0000, 0.0000], [0.4925, 0.1994, 0.6994]]}

***

Short version: formation enthalpy at 0 K = -3264, -153, -398 kJ/mol of formula units, in the order given.
Short version: energy = -18.5474, -17.9558, -26.7192 eV/atom, in the order given.